K2LiInF6: relaxed, GGA-PBE.

The space group is Fm-3m (No. 225) and the conventional cell measures 8.397, 8.397 and 8.397 Å, with angles of 90.00, 90.00 and 90.00 degrees. The asymmetric unit holds K at (0.250, 0.250, 0.250), Li at (0.000, 0.000, 0.000), In at (0.000, 0.000, 0.500) and F at (0.000, 0.000, 0.249).

As for the total energy: -4.585 eV/atom. For the volume, the calculation gives 14.8 A^3/atom. As for the total moment: 0.000 μB/f.u. The formation energy comes out at -3025 meV per atom.